Material: Lu7Te
Method: DFT, r2SCAN
State: optimized geometry

a b c (Å): 6.395 6.395 19.747
angles (deg): 90.00 90.00 145.93
Sites, in units of the cell vectors:
Lu (0.018, 0.982, 0.608)
Lu (0.018, 0.982, 0.892)
Lu (0.246, 0.754, 0.145)
Lu (0.246, 0.754, 0.355)
Lu (0.357, 0.643, 0.512)
Lu (0.357, 0.643, 0.988)
Lu (0.438, 0.562, 0.750)
Lu (0.562, 0.438, 0.250)
Lu (0.643, 0.357, 0.012)
Lu (0.643, 0.357, 0.488)
Lu (0.754, 0.246, 0.645)
Lu (0.754, 0.246, 0.855)
Lu (0.982, 0.018, 0.108)
Lu (0.982, 0.018, 0.392)
Te (0.148, 0.852, 0.750)
Te (0.852, 0.148, 0.250)

Properties
- ΔH_f (0 K): -0.3567 eV/atom
- Uncorrected energy: -294.830 eV/f.u.



Material: BaF2
Method: DFT, r2SCAN
State: optimized geometry

a b c (Å): 6.714 4.053 7.979
angles (deg): 90.00 90.00 90.00
Sites, in units of the cell vectors:
Ba (0.249, 0.250, 0.117)
Ba (0.251, 0.750, 0.617)
Ba (0.749, 0.250, 0.383)
Ba (0.751, 0.750, 0.883)
F (0.030, 0.750, 0.330)
F (0.142, 0.750, 0.931)
F (0.358, 0.250, 0.431)
F (0.470, 0.250, 0.830)
F (0.530, 0.750, 0.170)
F (0.642, 0.750, 0.569)
F (0.858, 0.250, 0.069)
F (0.970, 0.250, 0.670)

Properties
- ΔH_f (0 K): -4.0875 eV/atom
- Energy above the lowest structure with this stoichiometry: 18.7 meV per atom
- Uncorrected energy: -45.014 eV/f.u.



Material: Hf9CoW4
Method: DFT, r2SCAN
State: optimized geometry

a b c (Å): 8.674 8.674 8.401
angles (deg): 90.00 90.00 120.00
Sites, in units of the cell vectors:
Hf (0.084, 0.542, 0.250)
Hf (0.201, 0.403, 0.561)
Hf (0.201, 0.403, 0.939)
Hf (0.201, 0.799, 0.561)
Hf (0.201, 0.799, 0.939)
Hf (0.403, 0.201, 0.061)
Hf (0.403, 0.201, 0.439)
Hf (0.458, 0.542, 0.250)
Hf (0.458, 0.916, 0.250)
Hf (0.542, 0.084, 0.750)
Hf (0.542, 0.458, 0.750)
Hf (0.597, 0.799, 0.561)
Hf (0.597, 0.799, 0.939)
Hf (0.799, 0.201, 0.061)
Hf (0.799, 0.201, 0.439)
Hf (0.799, 0.597, 0.061)
Hf (0.799, 0.597, 0.439)
Hf (0.916, 0.458, 0.750)
Co (0.333, 0.667, 0.750)
Co (0.667, 0.333, 0.250)
W (0.000, 0.000, 0.000)
W (0.000, 0.000, 0.500)
W (0.112, 0.223, 0.250)
W (0.112, 0.888, 0.250)
W (0.223, 0.112, 0.750)
W (0.777, 0.888, 0.250)
W (0.888, 0.112, 0.750)
W (0.888, 0.777, 0.750)

Properties
- ΔH_f (0 K): -0.1242 eV/atom
- Uncorrected energy: -626.807 eV/f.u.